CdPd5Se: optimized geometry, r²SCAN.

Structure (CIF):
```
data_CdPd5Se
_space_group_name_H-M_alt 'P 4/m m m'
_space_group_IT_number 123
_space_group_name_Hall '-P 4 2'
_cell_length_a 4.0336
_cell_length_b 4.0336
_cell_length_c 7.0887
_cell_angle_alpha 90.00
_cell_angle_beta 90.00
_cell_angle_gamma 90.00
loop_
_atom_site_label
_atom_site_type_symbol
_atom_site_fract_x
_atom_site_fract_y
_atom_site_fract_z
Cd1 Cd 0.0000 0.0000 0.0000
Pd1 Pd 0.0000 0.5000 0.2844
Pd2 Pd 0.5000 0.5000 0.0000
Se1 Se 0.5000 0.5000 0.5000
```


SmCdPd2: optimized geometry, r²SCAN.

Structure (CIF):
```
data_SmCdPd2
_space_group_name_H-M_alt 'F m -3 m'
_space_group_IT_number 225
_space_group_name_Hall '-F 4 2 3'
_cell_length_a 6.8242
_cell_length_b 6.8242
_cell_length_c 6.8242
_cell_angle_alpha 90.00
_cell_angle_beta 90.00
_cell_angle_gamma 90.00
loop_
_atom_site_label
_atom_site_type_symbol
_atom_site_fract_x
_atom_site_fract_y
_atom_site_fract_z
Sm1 Sm 0.0000 0.0000 0.0000
Cd1 Cd 0.0000 0.0000 0.5000
Pd1 Pd 0.2500 0.2500 0.2500
```


Sm4CdPd: optimized geometry, r²SCAN.

Structure (CIF):
```
data_Sm4CdPd
_space_group_name_H-M_alt 'F -4 3 m'
_space_group_IT_number 216
_space_group_name_Hall 'F -4 2 3'
_cell_length_a 13.9494
_cell_length_b 13.9494
_cell_length_c 13.9494
_cell_angle_alpha 90.00
_cell_angle_beta 90.00
_cell_angle_gamma 90.00
loop_
_atom_site_label
_atom_site_type_symbol
_atom_site_fract_x
_atom_site_fract_y
_atom_site_fract_z
Sm1 Sm 0.0000 0.0000 0.1850
Sm2 Sm 0.0588 0.2500 0.2500
Sm3 Sm 0.1023 0.1023 0.6023
Cd1 Cd 0.1694 0.1694 0.8306
Pd1 Pd 0.1060 0.1060 0.3940
```


Number 1: formation energy -0.31 eV per atom. Number 2: formation energy -0.70 eV per atom. Number 3: formation energy -0.46 eV per atom.